Entry 1:
Below is a relaxed Mg2MnWO6 crystal, with properties calculated at the PBE+U level.

a = 5.269 Å, b = 5.391 Å, c = 7.869 Å
α = 90.00°, β = 90.00°, γ = 90.00°
Positions (direct):
O1 0.871 0.600 0.774
O2 0.819 0.834 0.454
O3 0.129 0.400 0.226
O4 0.181 0.166 0.545
O5 0.371 0.900 0.274
O6 0.848 0.800 0.096
O7 0.348 0.700 0.596
O8 0.629 0.100 0.726
O9 0.681 0.334 0.045
O10 0.319 0.666 0.954
O11 0.652 0.300 0.404
O12 0.152 0.200 0.904
W1 0.000 0.500 0.000
W2 0.500 0.000 0.500
Mg1 0.996 0.962 0.728
Mg2 0.504 0.462 0.772
Mg3 0.005 0.038 0.272
Mg4 0.495 0.538 0.228
Mn1 0.500 0.000 0.000
Mn2 0.000 0.500 0.500

Output
- E (MP2020) (eV per atom) = -8.010
- crystal system = monoclinic
- magnetic moment (μB/f.u.) = 0.0
- energy of formation (eV per atom) = -2.51
- energy above the most stable polymorph in this dataset (meV/atom) = 46


Entry 2:
Below is a relaxed LiFeP4O12 crystal, with properties calculated at the PBE+U level.

a = 7.010 Å, b = 7.010 Å, c = 9.617 Å
α = 88.83°, β = 88.83°, γ = 109.49°
Positions (direct):
P1 0.201 0.279 0.472
P2 0.799 0.721 0.528
P3 0.270 0.623 0.033
P4 0.279 0.201 0.972
P5 0.730 0.377 0.967
P6 0.721 0.799 0.028
P7 0.377 0.730 0.467
P8 0.623 0.270 0.533
O1 0.281 0.064 0.094
O2 0.131 0.648 0.149
O3 0.213 0.380 0.032
O4 0.719 0.936 0.906
O5 0.620 0.787 0.468
O6 0.787 0.620 0.968
O7 0.380 0.213 0.532
O8 0.648 0.131 0.649
O9 0.147 0.106 0.851
O10 0.498 0.691 0.093
O11 0.691 0.498 0.593
O12 0.869 0.352 0.851
O13 0.309 0.502 0.407
O14 0.106 0.147 0.351
O15 0.936 0.719 0.406
O16 0.502 0.309 0.907
O17 0.715 0.270 0.394
O18 0.270 0.715 0.894
O19 0.352 0.869 0.351
O20 0.853 0.894 0.149
O21 0.730 0.285 0.106
O22 0.285 0.730 0.606
O23 0.064 0.281 0.594
O24 0.894 0.853 0.649
Fe1 0.115 0.885 0.250
Fe2 0.885 0.115 0.750
Li1 0.166 0.834 0.750
Li2 0.834 0.166 0.250

Output
- E (MP2020) (eV per atom) = -7.591
- crystal system = monoclinic
- magnetic moment (μB/f.u.) = 5.0
- energy of formation (eV per atom) = -2.51
- energy above the most stable polymorph in this dataset (meV/atom) = 37


Entry 3:
Below is a relaxed NaCaVO4 crystal, with properties calculated at the PBE+U level.

a = 5.578 Å, b = 5.578 Å, c = 7.205 Å
α = 90.00°, β = 90.00°, γ = 115.20°
Positions (direct):
Ca1 0.500 0.500 0.500
Ca2 0.500 0.500 0.000
O1 0.278 0.203 0.250
O2 0.745 0.255 0.943
O3 0.203 0.278 0.750
O4 0.722 0.797 0.750
O5 0.255 0.745 0.443
O6 0.797 0.722 0.250
O7 0.745 0.255 0.557
O8 0.255 0.745 0.057
V1 0.148 0.852 0.250
V2 0.852 0.148 0.750
Na1 0.179 0.821 0.750
Na2 0.821 0.179 0.250

Output
- E (MP2020) (eV per atom) = -7.372
- crystal system = orthorhombic
- magnetic moment (μB/f.u.) = 0.0
- energy of formation (eV per atom) = -2.77
- energy above the most stable polymorph in this dataset (meV/atom) = 0


Entry 4:
Below is a relaxed Li5Mn8B8O24 crystal, with properties calculated at the PBE+U level.

a = 5.256 Å, b = 9.173 Å, c = 10.484 Å
α = 89.64°, β = 88.60°, γ = 88.89°
Positions (direct):
O1 0.663 0.275 0.172
O2 0.589 0.188 0.574
O3 0.333 0.736 0.831
O4 0.145 0.762 0.190
O5 0.093 0.455 0.661
O6 0.962 0.615 0.912
O7 0.065 0.147 0.175
O8 0.467 0.872 0.060
O9 0.917 0.548 0.337
O10 0.550 0.966 0.692
O11 0.941 0.309 0.431
O12 0.518 0.121 0.927
O13 0.173 0.100 0.624
O14 0.041 0.383 0.076
O15 0.500 0.380 0.897
O16 0.084 0.691 0.558
O17 0.449 0.034 0.333
O18 0.523 0.623 0.137
O19 0.459 0.784 0.407
O20 0.325 0.432 0.364
O21 0.928 0.868 0.856
O22 0.846 0.237 0.802
O23 0.701 0.591 0.653
O24 0.847 0.914 0.383
B1 0.617 0.248 0.874
B2 0.952 0.580 0.623
B3 0.069 0.430 0.378
B4 0.385 0.750 0.128
B5 0.428 0.088 0.631
B6 0.068 0.744 0.866
B7 0.925 0.265 0.141
B8 0.590 0.913 0.373
Mn1 0.108 0.401 0.870
Mn2 0.527 0.912 0.877
Mn3 0.562 0.252 0.376
Mn4 0.912 0.596 0.114
Mn5 0.433 0.089 0.129
Mn6 0.088 0.739 0.376
Mn7 0.909 0.279 0.617
Mn8 0.446 0.753 0.616
Li1 0.556 0.585 0.332
Li2 0.927 0.011 0.730
Li3 0.425 0.417 0.097
Li4 0.071 0.071 0.345
Li5 0.611 0.572 0.834

Output
- E (MP2020) (eV per atom) = -8.112
- crystal system = triclinic
- magnetic moment (μB/f.u.) = 37.0
- energy of formation (eV per atom) = -2.45
- energy above the most stable polymorph in this dataset (meV/atom) = 1


Entry 5:
Below is a relaxed YMg6VO8 crystal, with properties calculated at the PBE+U level.

a = 8.832 Å, b = 4.428 Å, c = 4.428 Å
α = 90.00°, β = 90.00°, γ = 90.00°
Positions (direct):
Mg1 0.263 0.500 0.000
Mg2 0.263 0.000 0.500
Mg3 0.500 0.000 0.000
Mg4 0.500 0.500 0.500
Mg5 0.737 0.500 0.000
Mg6 0.737 0.000 0.500
O1 0.258 0.500 0.500
O2 0.500 0.500 0.000
O3 0.000 0.500 0.000
O4 0.000 0.000 0.500
O5 0.737 0.000 0.000
O6 0.263 0.000 0.000
O7 0.500 0.000 0.500
O8 0.742 0.500 0.500
Y1 0.000 0.000 0.000
V1 0.000 0.500 0.500

Output
- E (MP2020) (eV per atom) = -6.870
- crystal system = tetragonal
- magnetic moment (μB/f.u.) = 2.5
- energy of formation (eV per atom) = -2.82
- energy above the most stable polymorph in this dataset (meV/atom) = 0


Entry 6:
Below is a relaxed Mn2FeReO6 crystal, with properties calculated at the PBE+U level.

a = 5.303 Å, b = 5.427 Å, c = 7.866 Å
α = 90.13°, β = 89.95°, γ = 90.09°
Positions (direct):
O1 0.835 0.206 0.421
O2 0.874 0.430 0.729
O3 0.377 0.071 0.230
O4 0.670 0.708 0.079
O5 0.331 0.292 0.921
O6 0.307 0.318 0.556
O7 0.165 0.794 0.579
O8 0.126 0.570 0.271
O9 0.623 0.929 0.770
O10 0.192 0.815 0.946
O11 0.693 0.682 0.445
O12 0.808 0.185 0.054
Fe1 0.500 0.000 0.500
Fe2 0.000 0.500 0.000
Mn1 0.489 0.549 0.744
Mn2 0.009 0.050 0.762
Mn3 0.511 0.451 0.256
Mn4 0.991 0.950 0.238
Re1 0.000 0.500 0.500
Re2 0.500 0.000 0.000

Output
- E (MP2020) (eV per atom) = -8.789
- crystal system = triclinic
- magnetic moment (μB/f.u.) = 10.0
- energy of formation (eV per atom) = -1.90
- energy above the most stable polymorph in this dataset (meV/atom) = 0


Entry 7:
Below is a relaxed Li2MgCr3S6O24 crystal, with properties calculated at the PBE+U level.

a = 9.034 Å, b = 9.057 Å, c = 8.977 Å
α = 56.15°, β = 55.80°, γ = 54.92°
Positions (direct):
O1 0.638 0.757 0.381
O2 0.022 0.705 0.665
O3 0.758 0.381 0.636
O4 0.956 0.270 0.369
O5 0.973 0.046 0.685
O6 0.520 0.103 0.297
O7 0.279 0.378 0.940
O8 0.297 0.508 0.104
O9 0.046 0.690 0.976
O10 0.636 0.374 0.233
O11 0.359 0.965 0.290
O12 0.659 0.022 0.710
O13 0.886 0.692 0.503
O14 0.676 0.975 0.051
O15 0.378 0.235 0.625
O16 0.341 0.008 0.953
O17 0.993 0.948 0.354
O18 0.227 0.615 0.388
O19 0.492 0.897 0.693
O20 0.694 0.495 0.896
O21 0.108 0.287 0.512
O22 0.963 0.337 0.999
O23 0.719 0.654 0.024
O24 0.380 0.643 0.758
S1 0.546 0.952 0.256
S2 0.953 0.247 0.550
S3 0.253 0.552 0.947
S4 0.464 0.037 0.750
S5 0.032 0.743 0.472
S6 0.753 0.467 0.036
Cr1 0.847 0.848 0.855
Cr2 0.643 0.644 0.646
Cr3 0.163 0.144 0.156
Li1 0.764 0.180 0.428
Li2 0.182 0.427 0.762
Mg1 0.355 0.354 0.348

Output
- E (MP2020) (eV per atom) = -7.063
- crystal system = triclinic
- magnetic moment (μB/f.u.) = 10.0
- energy of formation (eV per atom) = -2.12
- energy above the most stable polymorph in this dataset (meV/atom) = 0


Entry 8:
Below is a relaxed Na2Fe2F7 crystal, with properties calculated at the PBE+U level.

a = 7.446 Å, b = 7.446 Å, c = 25.063 Å
α = 81.38°, β = 81.38°, γ = 60.54°
Positions (direct):
F1 0.578 0.138 0.545
F2 0.701 0.272 0.358
F3 0.697 0.358 0.593
F4 0.862 0.977 0.791
F5 0.641 0.025 0.204
F6 0.207 0.130 0.532
F7 0.864 0.360 0.793
F8 0.090 0.471 0.843
F9 0.661 0.700 0.858
F10 0.358 0.697 0.093
F11 0.581 0.746 0.547
F12 0.419 0.254 0.453
F13 0.925 0.932 0.609
F14 0.025 0.641 0.704
F15 0.359 0.975 0.796
F16 0.072 0.467 0.390
F17 0.642 0.303 0.907
F18 0.136 0.640 0.207
F19 0.529 0.910 0.657
F20 0.068 0.075 0.891
F21 0.634 0.190 0.047
F22 0.272 0.701 0.858
F23 0.932 0.925 0.109
F24 0.746 0.581 0.047
F25 0.422 0.862 0.455
F26 0.190 0.634 0.547
F27 0.910 0.529 0.157
F28 0.700 0.661 0.358
F29 0.360 0.864 0.293
F30 0.728 0.299 0.142
F31 0.138 0.023 0.209
F32 0.523 0.639 0.209
F33 0.075 0.068 0.391
F34 0.339 0.300 0.142
F35 0.471 0.090 0.343
F36 0.640 0.136 0.707
F37 0.975 0.359 0.296
F38 0.870 0.793 0.968
F39 0.467 0.072 0.890
F40 0.533 0.928 0.110
F41 0.299 0.728 0.642
F42 0.477 0.361 0.791
F43 0.361 0.477 0.291
F44 0.300 0.339 0.642
F45 0.810 0.366 0.453
F46 0.254 0.419 0.953
F47 0.023 0.138 0.709
F48 0.366 0.810 0.953
F49 0.793 0.870 0.468
F50 0.130 0.207 0.032
F51 0.639 0.523 0.709
F52 0.977 0.862 0.291
F53 0.138 0.578 0.045
F54 0.928 0.533 0.610
F55 0.862 0.422 0.955
F56 0.303 0.642 0.407
Fe1 0.371 0.385 0.873
Fe2 0.865 0.387 0.874
Fe3 0.111 0.636 0.626
Fe4 0.755 0.245 0.750
Fe5 0.500 0.000 0.500
Fe6 0.385 0.371 0.373
Fe7 0.387 0.865 0.374
Fe8 0.245 0.755 0.250
Fe9 0.889 0.364 0.374
Fe10 0.615 0.629 0.627
Fe11 0.364 0.889 0.874
Fe12 0.000 0.500 0.000
Fe13 0.636 0.111 0.126
Fe14 0.629 0.615 0.127
Fe15 0.135 0.613 0.126
Fe16 0.613 0.135 0.626
Na1 0.880 0.866 0.379
Na2 0.866 0.880 0.879
Na3 0.500 0.500 0.000
Na4 0.704 0.790 0.752
Na5 0.120 0.134 0.621
Na6 0.785 0.215 0.250
Na7 0.210 0.296 0.748
Na8 0.790 0.704 0.252
Na9 0.000 0.000 0.500
Na10 0.134 0.120 0.121
Na11 0.000 0.000 0.000
Na12 0.296 0.210 0.248
Na13 0.500 0.500 0.500
Na14 0.500 0.000 0.000
Na15 0.000 0.500 0.500
Na16 0.215 0.785 0.750

Output
- E (MP2020) (eV per atom) = -5.768
- crystal system = monoclinic
- magnetic moment (μB/f.u.) = 9.0
- energy of formation (eV per atom) = -2.77
- energy above the most stable polymorph in this dataset (meV/atom) = 3


Entry 9:
Below is a relaxed LiCr4P7O24 crystal, with properties calculated at the PBE+U level.

a = 10.106 Å, b = 10.245 Å, c = 10.694 Å
α = 108.73°, β = 111.33°, γ = 104.92°
Positions (direct):
O1 0.088 0.698 0.463
O2 0.336 0.175 0.906
O3 0.185 0.893 0.781
O4 0.868 0.211 0.874
O5 0.873 0.499 0.009
O6 0.633 0.404 0.044
O7 0.367 0.596 0.956
O8 0.127 0.501 0.991
O9 0.888 0.743 0.873
O10 0.833 0.436 0.728
O11 0.851 0.065 0.623
O12 0.635 0.781 0.803
O13 0.621 0.981 0.658
O14 0.165 0.321 0.795
O15 0.664 0.825 0.094
O16 0.365 0.219 0.197
O17 0.118 0.025 0.628
O18 0.912 0.302 0.537
O19 0.815 0.107 0.219
O20 0.347 0.436 0.083
O21 0.882 0.975 0.372
O22 0.167 0.564 0.272
O23 0.149 0.935 0.377
O24 0.623 0.988 0.299
O25 0.377 0.012 0.701
O26 0.357 0.937 0.047
O27 0.112 0.257 0.127
O28 0.622 0.220 0.178
O29 0.136 0.056 0.203
O30 0.853 0.755 0.494
O31 0.605 0.507 0.328
O32 0.643 0.063 0.953
O33 0.849 0.520 0.530
O34 0.151 0.480 0.470
O35 0.690 0.661 0.599
O36 0.379 0.019 0.342
O37 0.370 0.725 0.534
O38 0.630 0.275 0.466
O39 0.132 0.789 0.126
O40 0.378 0.780 0.822
O41 0.870 0.321 0.160
O42 0.864 0.944 0.797
O43 0.835 0.679 0.205
O44 0.310 0.339 0.401
O45 0.395 0.493 0.672
O46 0.147 0.245 0.506
O47 0.130 0.679 0.840
O48 0.653 0.564 0.917
Cr1 0.488 0.336 0.116
Cr2 0.014 0.169 0.588
Cr3 0.003 0.388 0.075
Cr4 0.500 0.105 0.256
Cr5 0.986 0.831 0.412
Cr6 0.500 0.895 0.744
Cr7 0.997 0.612 0.925
Cr8 0.512 0.664 0.884
P1 0.748 0.541 0.051
P2 0.262 0.036 0.758
P3 0.774 0.780 0.775
P4 0.802 0.060 0.739
P5 0.198 0.940 0.261
P6 0.252 0.459 0.949
P7 0.807 0.374 0.567
P8 0.226 0.220 0.225
P9 0.751 0.609 0.477
P10 0.249 0.391 0.523
P11 0.738 0.964 0.242
P12 0.266 0.820 0.883
P13 0.193 0.626 0.433
P14 0.734 0.180 0.117
Li1 0.448 0.754 0.329
Li2 0.552 0.246 0.671

Output
- E (MP2020) (eV per atom) = -8.063
- crystal system = triclinic
- magnetic moment (μB/f.u.) = 12.0
- energy of formation (eV per atom) = -2.59
- energy above the most stable polymorph in this dataset (meV/atom) = 8


Entry 10:
Below is a relaxed LiTiV2CrO10 crystal, with properties calculated at the PBE+U level.

a = 6.484 Å, b = 6.484 Å, c = 5.372 Å
α = 90.00°, β = 90.00°, γ = 90.00°
Positions (direct):
Cr1 0.250 0.750 0.500
O1 0.040 0.750 0.306
O2 0.250 0.250 0.327
O3 0.534 0.250 0.720
O4 0.460 0.750 0.306
O5 0.750 0.034 0.280
O6 0.250 0.960 0.694
O7 0.250 0.540 0.694
O8 0.750 0.750 0.673
O9 0.750 0.466 0.280
O10 0.966 0.250 0.720
V1 0.750 0.750 0.372
V2 0.250 0.250 0.628
Li1 0.750 0.250 0.000
Ti1 0.750 0.250 0.500

Output
- E (MP2020) (eV per atom) = -8.136
- crystal system = tetragonal
- magnetic moment (μB/f.u.) = 1.0
- energy of formation (eV per atom) = -2.33
- energy above the most stable polymorph in this dataset (meV/atom) = 47